# 1
Here is a relaxed structure of Li9Mn2Co5O16 from the Materials Project database. Energies are from GGA+U.

Summary:
Total energy (eV per atom): -5.791
Excess energy over the best structure of this formula in the dataset (meV/atom): 63.7

a = 2.889 Å, b = 5.885 Å, c = 17.024 Å
α = 89.69°, β = 90.00°, γ = 90.00°
Atoms (fractional coordinates):
Li1 0.500 0.744 0.877
Li2 0.500 0.253 0.622
Li3 0.500 0.746 0.364
Li4 0.000 0.006 0.751
Li5 0.000 0.499 0.492
Li6 0.000 0.000 0.254
Li7 0.500 0.255 0.135
Li8 0.000 0.500 0.006
Li9 0.000 0.500 0.250
Mn1 0.000 0.996 0.002
Mn2 0.500 0.750 0.624
Co1 0.000 0.495 0.751
Co2 0.000 0.012 0.494
Co3 0.500 0.262 0.359
Co4 0.500 0.738 0.139
Co5 0.500 0.255 0.876
O1 0.500 0.775 0.998
O2 0.500 0.265 0.751
O3 0.500 0.767 0.510
O4 0.000 0.019 0.884
O5 0.000 0.528 0.623
O6 0.000 0.016 0.379
O7 0.500 0.247 0.255
O8 0.000 0.520 0.123
O9 0.500 0.731 0.741
O10 0.500 0.228 0.502
O11 0.500 0.755 0.244
O12 0.000 0.973 0.626
O13 0.000 0.483 0.375
O14 0.000 0.976 0.115
O15 0.500 0.220 0.003
O16 0.000 0.485 0.875



# 2
Here is a relaxed structure of MgFe2H2O4 from the Materials Project database. Energies are from GGA+U.

Summary:
Total energy (eV per atom): -5.688
Excess energy over the best structure of this formula in the dataset (meV/atom): 173.8

a = 6.379 Å, b = 6.379 Å, c = 4.484 Å
α = 90.00°, β = 90.00°, γ = 29.98°
Atoms (fractional coordinates):
Mg1 0.459 0.459 0.750
Fe1 0.286 0.286 0.250
Fe2 0.694 0.694 0.750
H1 0.006 0.006 0.429
H2 0.006 0.006 0.071
O1 0.699 0.699 0.250
O2 0.305 0.305 0.750
O3 0.952 0.952 0.250
O4 0.050 0.050 0.750



# 3
Here is a relaxed structure of Ba3Er2MoO9 from the Materials Project database. Energies are from GGA+U.

Summary:
Total energy (eV per atom): -7.285

a = 6.065 Å, b = 6.065 Å, c = 14.843 Å
α = 89.76°, β = 89.76°, γ = 59.83°
Atoms (fractional coordinates):
Ba1 0.668 0.665 0.088
Ba2 0.998 0.002 0.750
Ba3 0.335 0.332 0.412
Ba4 0.332 0.335 0.912
Ba5 0.665 0.668 0.588
Ba6 0.002 0.998 0.250
Er1 0.333 0.334 0.167
Er2 0.667 0.666 0.833
Er3 0.334 0.333 0.667
Er4 0.666 0.667 0.333
Mo1 0.000 0.000 0.500
Mo2 0.000 0.000 0.000
O1 0.979 0.541 0.240
O2 0.290 0.880 0.917
O3 0.677 0.186 0.567
O4 0.710 0.120 0.083
O5 0.021 0.459 0.760
O6 0.323 0.814 0.433
O7 0.541 0.979 0.740
O8 0.880 0.290 0.417
O9 0.186 0.677 0.067
O10 0.459 0.021 0.260
O11 0.814 0.323 0.933
O12 0.120 0.710 0.583
O13 0.154 0.153 0.075
O14 0.499 0.501 0.750
O15 0.847 0.846 0.425
O16 0.846 0.847 0.925
O17 0.153 0.154 0.575
O18 0.501 0.499 0.250



# 4
Here is a relaxed structure of MgV2CoO7 from the Materials Project database. Energies are from GGA+U.

Summary:
Total energy (eV per atom): -6.982

a = 14.173 Å, b = 6.591 Å, c = 11.839 Å
α = 78.99°, β = 90.00°, γ = 90.00°
Atoms (fractional coordinates):
Mg1 0.506 0.965 0.735
Mg2 0.871 0.697 0.926
Mg3 0.371 0.303 0.574
Mg4 0.129 0.303 0.074
Mg5 0.629 0.697 0.426
Mg6 0.994 0.965 0.235
Mg7 0.494 0.035 0.265
Mg8 0.006 0.035 0.765
V1 0.898 0.178 0.984
V2 0.014 0.565 0.684
V3 0.486 0.565 0.184
V4 0.986 0.435 0.316
V5 0.710 0.500 0.788
V6 0.210 0.500 0.712
V7 0.290 0.500 0.212
V8 0.790 0.500 0.288
V9 0.514 0.435 0.816
V10 0.140 0.130 0.496
V11 0.640 0.870 0.004
V12 0.860 0.870 0.504
V13 0.398 0.822 0.516
V14 0.602 0.178 0.484
V15 0.102 0.822 0.016
V16 0.360 0.130 0.996
Co1 0.691 0.368 0.059
Co2 0.191 0.632 0.441
Co3 0.309 0.632 0.941
Co4 0.809 0.368 0.559
Co5 0.765 0.011 0.227
Co6 0.265 0.989 0.273
Co7 0.235 0.989 0.773
Co8 0.735 0.011 0.727
O1 0.007 0.280 0.981
O2 0.507 0.720 0.519
O3 0.993 0.720 0.019
O4 0.493 0.280 0.481
O5 0.889 0.019 0.879
O6 0.389 0.981 0.621
O7 0.111 0.981 0.121
O8 0.611 0.019 0.379
O9 0.881 0.033 0.125
O10 0.381 0.967 0.375
O11 0.119 0.967 0.875
O12 0.619 0.033 0.625
O13 0.269 0.307 0.975
O14 0.769 0.693 0.525
O15 0.731 0.693 0.025
O16 0.231 0.307 0.475
O17 0.376 0.030 0.142
O18 0.876 0.970 0.358
O19 0.624 0.970 0.858
O20 0.124 0.030 0.642
O21 0.333 0.945 0.911
O22 0.456 0.662 0.812
O23 0.833 0.055 0.589
O24 0.167 0.945 0.411
O25 0.472 0.284 0.723
O26 0.972 0.716 0.777
O27 0.528 0.716 0.277
O28 0.028 0.284 0.223
O29 0.464 0.266 0.948
O30 0.964 0.734 0.552
O31 0.536 0.734 0.052
O32 0.036 0.266 0.448
O33 0.890 0.570 0.205
O34 0.390 0.430 0.295
O35 0.110 0.430 0.795
O36 0.610 0.570 0.705
O37 0.740 0.312 0.221
O38 0.240 0.688 0.279
O39 0.260 0.688 0.779
O40 0.760 0.312 0.721
O41 0.683 0.389 0.454
O42 0.183 0.611 0.046
O43 0.317 0.611 0.546
O44 0.817 0.389 0.954
O45 0.725 0.724 0.287
O46 0.225 0.276 0.213
O47 0.275 0.276 0.713
O48 0.775 0.724 0.787
O49 0.871 0.407 0.406
O50 0.371 0.593 0.094
O51 0.129 0.593 0.594
O52 0.629 0.407 0.906
O53 0.044 0.662 0.312
O54 0.544 0.338 0.188
O55 0.956 0.338 0.688
O56 0.667 0.055 0.089



Number 1: ΔE_f -57.6 eV/f.u.. Number 2: ΔE_f -13.3 eV/f.u.. Number 3: ΔE_f -48.4 eV/f.u.. Number 4: ΔE_f -25.1 eV/f.u..